Run a
Below is MoH4O5 after structural relaxation, with properties calculated at the GGA+U level.

abc: 6.173 4.248 7.853
angles: 90.00 100.65 90.00
Space group Pc (No. 7)
One atom of each set of equivalent atoms:
Mo: 0.000 0.086 0.000 (multiplicity 2)
H: 0.431 0.006 0.950 (multiplicity 2)
H: 0.438 0.436 0.609 (multiplicity 2)
H: 0.560 0.290 0.231 (multiplicity 2)
H: 0.631 0.229 0.828 (multiplicity 2)
O: 0.000 0.494 0.986 (multiplicity 2)
O: 0.302 0.015 0.511 (multiplicity 2)
O: 0.506 0.493 0.727 (multiplicity 2)
O: 0.685 0.039 0.907 (multiplicity 2)
O: 0.992 0.008 0.222 (multiplicity 2)

* V: 10.119 Å³ per atom


Run b
Below is MoH4O5 after structural relaxation, with properties calculated at the GGA+U level.

abc: 6.852 3.997 7.851
angles: 90.00 91.20 90.00
Space group Pc (No. 7)
One atom of each set of equivalent atoms:
Mo: 0.000 0.085 0.000 (multiplicity 2)
H: 0.337 0.105 0.153 (multiplicity 2)
H: 0.461 0.408 0.852 (multiplicity 2)
H: 0.591 0.434 0.211 (multiplicity 2)
H: 0.654 0.143 0.466 (multiplicity 2)
O: 0.006 0.012 0.778 (multiplicity 2)
O: 0.277 0.034 0.044 (multiplicity 2)
O: 0.510 0.379 0.308 (multiplicity 2)
O: 0.724 0.022 0.039 (multiplicity 2)
O: 0.992 0.476 0.520 (multiplicity 2)

* V: 10.748 Å³ per atom


Most stable: run b (next structure +7 meV per atom)


Run a
Below is Li3Fe5OF11 after structural relaxation, with properties calculated at the GGA+U level.

abc: 5.256 5.688 9.291
angles: 72.71 89.10 63.16
Space group P1 (No. 1)
One atom of each set of equivalent atoms:
Li: 0.000 0.000 0.000 (multiplicity 1)
Li: 0.221 0.263 0.728 (multiplicity 1)
Li: 0.745 0.736 0.238 (multiplicity 1)
Fe: 0.065 0.200 0.348 (multiplicity 1)
Fe: 0.304 0.471 0.089 (multiplicity 1)
Fe: 0.535 0.464 0.499 (multiplicity 1)
Fe: 0.564 0.739 0.852 (multiplicity 1)
Fe: 0.837 0.975 0.595 (multiplicity 1)
O: 0.951 0.223 0.539 (multiplicity 1)
F: 0.002 0.554 0.889 (multiplicity 1)
F: 0.003 0.860 0.191 (multiplicity 1)
F: 0.075 0.305 0.147 (multiplicity 1)
F: 0.097 0.610 0.450 (multiplicity 1)
F: 0.126 0.965 0.804 (multiplicity 1)
F: 0.469 0.716 0.049 (multiplicity 1)
F: 0.499 0.388 0.708 (multiplicity 1)
F: 0.517 0.046 0.384 (multiplicity 1)
F: 0.581 0.122 0.956 (multiplicity 1)
F: 0.584 0.827 0.643 (multiplicity 1)
F: 0.604 0.478 0.287 (multiplicity 1)

* V: 11.717 Å³ per atom


Run b
Below is Li3Fe5OF11 after structural relaxation, with properties calculated at the GGA+U level.

abc: 5.304 5.676 9.225
angles: 74.33 89.82 62.81
Space group P1 (No. 1)
One atom of each set of equivalent atoms:
Li: 0.000 0.000 0.000 (multiplicity 1)
Li: 0.046 0.877 0.348 (multiplicity 1)
Li: 0.479 0.019 0.479 (multiplicity 1)
Fe: 0.255 0.516 0.752 (multiplicity 1)
Fe: 0.304 0.419 0.090 (multiplicity 1)
Fe: 0.529 0.884 0.850 (multiplicity 1)
Fe: 0.750 0.488 0.251 (multiplicity 1)
Fe: 0.792 0.406 0.592 (multiplicity 1)
O: 0.296 0.695 0.900 (multiplicity 1)
F: 0.197 0.229 0.289 (multiplicity 1)
F: 0.240 0.198 0.951 (multiplicity 1)
F: 0.249 0.214 0.639 (multiplicity 1)
F: 0.317 0.693 0.216 (multiplicity 1)
F: 0.342 0.708 0.543 (multiplicity 1)
F: 0.697 0.183 0.792 (multiplicity 1)
F: 0.746 0.195 0.457 (multiplicity 1)
F: 0.760 0.185 0.151 (multiplicity 1)
F: 0.796 0.705 0.394 (multiplicity 1)
F: 0.801 0.688 0.697 (multiplicity 1)
F: 0.834 0.707 0.050 (multiplicity 1)

* V: 11.775 Å³ per atom


Most stable: run b (next structure +972 meV per atom)


Run a
Below is Fe3OF5 after structural relaxation, with properties calculated at the GGA+U level.

abc: 6.825 3.182 10.791
angles: 90.00 108.38 90.00
Space group Pm (No. 6)
One atom of each set of equivalent atoms:
Fe: 0.000 0.000 0.000 (multiplicity 1)
Fe: 0.148 0.500 0.350 (multiplicity 1)
Fe: 0.341 0.000 0.684 (multiplicity 1)
Fe: 0.510 0.500 0.021 (multiplicity 1)
Fe: 0.690 0.000 0.357 (multiplicity 1)
Fe: 0.846 0.500 0.694 (multiplicity 1)
O: 0.946 0.500 0.896 (multiplicity 1)
O: 0.989 0.000 0.350 (multiplicity 1)
F: 0.047 0.000 0.684 (multiplicity 1)
F: 0.081 0.500 0.149 (multiplicity 1)
F: 0.280 0.500 0.545 (multiplicity 1)
F: 0.304 0.000 0.023 (multiplicity 1)
F: 0.366 0.000 0.350 (multiplicity 1)
F: 0.411 0.500 0.823 (multiplicity 1)
F: 0.599 0.500 0.219 (multiplicity 1)
F: 0.637 0.000 0.687 (multiplicity 1)
F: 0.720 0.000 0.027 (multiplicity 1)
F: 0.739 0.500 0.493 (multiplicity 1)

* V: 12.354 Å³ per atom


Run b
Below is Fe3OF5 after structural relaxation, with properties calculated at the GGA+U level.

abc: 4.811 5.767 8.122
angles: 86.50 89.56 89.17
Space group P-1 (No. 2)
One atom of each set of equivalent atoms:
Fe: 0.000 0.000 0.000 (multiplicity 1)
Fe: 0.003 0.331 0.662 (multiplicity 2)
Fe: 0.469 0.837 0.692 (multiplicity 2)
Fe: 0.500 0.500 0.000 (multiplicity 1)
O: 0.300 0.801 0.894 (multiplicity 2)
F: 0.205 0.301 0.889 (multiplicity 2)
F: 0.207 0.971 0.247 (multiplicity 2)
F: 0.208 0.639 0.566 (multiplicity 2)
F: 0.300 0.455 0.252 (multiplicity 2)
F: 0.310 0.125 0.563 (multiplicity 2)

* V: 12.495 Å³ per atom


Most stable: run a (next structure +33 meV per atom)


Run a
Below is K2FeO4 after structural relaxation, with properties calculated at the GGA+U level.

abc: 7.798 5.941 10.511
angles: 90.00 90.00 90.00
Space group Pnma (No. 62)
One atom of each set of equivalent atoms:
K: 0.014 0.250 0.196 (multiplicity 4)
K: 0.163 0.750 0.415 (multiplicity 4)
Fe: 0.230 0.750 0.078 (multiplicity 4)
O: 0.018 0.750 0.083 (multiplicity 4)
O: 0.193 0.022 0.649 (multiplicity 8)
O: 0.201 0.250 0.428 (multiplicity 4)

* V: 17.391 Å³ per atom


Run b
Below is K2FeO4 after structural relaxation, with properties calculated at the GGA+U level.

abc: 5.992 8.628 11.690
angles: 90.00 120.36 90.00
Space group P2_1/c (No. 14)
One atom of each set of equivalent atoms:
K: 0.012 0.009 0.290 (multiplicity 4)
K: 0.402 0.715 0.593 (multiplicity 4)
Fe: 0.254 0.228 0.065 (multiplicity 4)
O: 0.054 0.202 0.903 (multiplicity 4)
O: 0.085 0.222 0.143 (multiplicity 4)
O: 0.386 0.097 0.586 (multiplicity 4)
O: 0.484 0.094 0.124 (multiplicity 4)

* V: 18.626 Å³ per atom


Most stable: run a (next structure +23 meV per atom)


Run a
Below is Li2VSi2O7 after structural relaxation, with properties calculated at the GGA+U level.

abc: 5.195 6.072 16.490
angles: 91.75 92.12 94.69
Space group P-1 (No. 2)
One atom of each set of equivalent atoms:
Li: 0.200 0.175 0.488 (multiplicity 2)
Li: 0.201 0.674 0.988 (multiplicity 2)
Li: 0.300 0.237 0.675 (multiplicity 2)
Li: 0.300 0.737 0.175 (multiplicity 2)
V: 0.239 0.185 0.112 (multiplicity 2)
V: 0.239 0.685 0.612 (multiplicity 2)
Si: 0.211 0.027 0.313 (multiplicity 2)
Si: 0.211 0.527 0.813 (multiplicity 2)
Si: 0.303 0.156 0.923 (multiplicity 2)
Si: 0.303 0.655 0.423 (multiplicity 2)
O: 0.078 0.455 0.153 (multiplicity 2)
O: 0.078 0.955 0.653 (multiplicity 2)
O: 0.088 0.442 0.418 (multiplicity 2)
O: 0.088 0.942 0.918 (multiplicity 2)
O: 0.230 0.324 0.997 (multiplicity 2)
O: 0.230 0.824 0.497 (multiplicity 2)
O: 0.237 0.040 0.216 (multiplicity 2)
O: 0.237 0.540 0.716 (multiplicity 2)
O: 0.289 0.271 0.832 (multiplicity 2)
O: 0.292 0.771 0.332 (multiplicity 2)
O: 0.393 0.400 0.570 (multiplicity 2)
O: 0.393 0.900 0.070 (multiplicity 2)
O: 0.431 0.181 0.368 (multiplicity 2)
O: 0.431 0.681 0.868 (multiplicity 2)

* V: 10.787 Å³ per atom


Run b
Below is Li2VSi2O7 after structural relaxation, with properties calculated at the GGA+U level.

abc: 8.571 8.584 12.977
angles: 88.97 89.88 60.12
Space group P1 (No. 1)
One atom of each set of equivalent atoms:
Li: 0.000 0.000 0.000 (multiplicity 1)
Li: 0.001 0.368 0.159 (multiplicity 1)
Li: 0.003 0.993 0.493 (multiplicity 1)
Li: 0.004 0.363 0.824 (multiplicity 1)
Li: 0.025 0.665 0.329 (multiplicity 1)
Li: 0.309 0.028 0.654 (multiplicity 1)
Li: 0.313 0.027 0.329 (multiplicity 1)
Li: 0.330 0.355 0.756 (multiplicity 1)
Li: 0.348 0.340 0.269 (multiplicity 1)
Li: 0.366 0.646 0.827 (multiplicity 1)
Li: 0.639 0.001 0.824 (multiplicity 1)
Li: 0.677 0.311 0.329 (multiplicity 1)
V: 0.000 0.002 0.266 (multiplicity 1)
V: 0.340 0.335 0.996 (multiplicity 1)
V: 0.341 0.337 0.499 (multiplicity 1)
V: 0.661 0.677 0.209 (multiplicity 1)
V: 0.669 0.665 0.768 (multiplicity 1)
V: 0.995 0.004 0.709 (multiplicity 1)
Si: 0.003 0.694 0.104 (multiplicity 1)
Si: 0.009 0.696 0.875 (multiplicity 1)
Si: 0.307 0.006 0.102 (multiplicity 1)
Si: 0.308 0.010 0.877 (multiplicity 1)
Si: 0.367 0.660 0.601 (multiplicity 1)
Si: 0.375 0.659 0.377 (multiplicity 1)
Si: 0.661 0.975 0.376 (multiplicity 1)
Si: 0.667 0.973 0.598 (multiplicity 1)
Si: 0.689 0.311 0.103 (multiplicity 1)
Si: 0.694 0.301 0.876 (multiplicity 1)
Si: 0.976 0.369 0.602 (multiplicity 1)
Si: 0.985 0.363 0.381 (multiplicity 1)
O: 0.008 0.781 0.989 (multiplicity 1)
O: 0.067 0.795 0.185 (multiplicity 1)
O: 0.096 0.790 0.800 (multiplicity 1)
O: 0.138 0.478 0.097 (multiplicity 1)
O: 0.141 0.478 0.883 (multiplicity 1)
O: 0.143 0.095 0.187 (multiplicity 1)
O: 0.147 0.096 0.790 (multiplicity 1)
O: 0.196 0.279 0.599 (multiplicity 1)
O: 0.206 0.270 0.391 (multiplicity 1)
O: 0.209 0.015 0.989 (multiplicity 1)
O: 0.212 0.871 0.617 (multiplicity 1)
O: 0.216 0.869 0.356 (multiplicity 1)
O: 0.279 0.531 0.381 (multiplicity 1)
O: 0.284 0.524 0.598 (multiplicity 1)
O: 0.384 0.144 0.085 (multiplicity 1)
O: 0.398 0.139 0.885 (multiplicity 1)
O: 0.456 0.801 0.125 (multiplicity 1)
O: 0.460 0.803 0.856 (multiplicity 1)
O: 0.465 0.645 0.491 (multiplicity 1)
O: 0.472 0.391 0.092 (multiplicity 1)
O: 0.474 0.395 0.882 (multiplicity 1)
O: 0.516 0.599 0.694 (multiplicity 1)
O: 0.534 0.193 0.583 (multiplicity 1)
O: 0.540 0.197 0.380 (multiplicity 1)
O: 0.545 0.576 0.298 (multiplicity 1)
O: 0.572 0.896 0.295 (multiplicity 1)
O: 0.579 0.907 0.689 (multiplicity 1)
O: 0.651 0.889 0.489 (multiplicity 1)
O: 0.751 0.455 0.127 (multiplicity 1)
O: 0.755 0.449 0.854 (multiplicity 1)
O: 0.778 0.210 0.992 (multiplicity 1)
O: 0.779 0.128 0.799 (multiplicity 1)
O: 0.780 0.151 0.193 (multiplicity 1)
O: 0.800 0.742 0.129 (multiplicity 1)
O: 0.804 0.750 0.848 (multiplicity 1)
O: 0.872 0.931 0.616 (multiplicity 1)
O: 0.875 0.916 0.360 (multiplicity 1)
O: 0.884 0.520 0.690 (multiplicity 1)
O: 0.894 0.461 0.489 (multiplicity 1)
O: 0.914 0.517 0.290 (multiplicity 1)
O: 0.933 0.203 0.363 (multiplicity 1)
O: 0.936 0.201 0.623 (multiplicity 1)

* V: 11.496 Å³ per atom


Most stable: run a (next structure +33 meV per atom)